[1]
13
Lattice="5.088 -4.397 0.000 5.088 4.397 0.000 -2.574 0.000 4.441" Properties=species:S:1:pos:R:3 comment="r2SCAN PrAl8Cu4, optimized geometry" energy_ev_per_atom=-10.0807 m_tot_mub_per_cell=0.00 ef_mev_per_atom=-339 pbc="T T T"
Pr 0.000 0.000 0.000
Al 0.400 0.000 3.208
Al 3.801 2.446 2.221
Al 2.659 0.000 1.551
Al 5.088 1.322 0.000
Al 5.088 -1.322 0.000
Al 4.943 0.000 2.890
Al 3.801 -2.446 2.221
Al 7.203 0.000 1.234
Cu 2.544 2.199 0.000
Cu 1.257 2.199 2.221
Cu 2.544 -2.199 0.000
Cu 1.257 -2.199 2.221

=====

[2]
40
Lattice="6.370 0.000 0.000 0.000 6.370 0.000 0.000 0.000 14.719" Properties=species:S:1:pos:R:3 comment="r2SCAN Al7Cu2Rh, optimized geometry" energy_ev_per_atom=-9.6977 m_tot_mub_per_cell=0.00 ef_mev_per_atom=-402 pbc="T T T"
Al 0.000 0.000 1.876
Al 0.000 0.000 12.844
Al 0.551 1.918 5.929
Al 0.551 1.918 8.790
Al 0.950 4.134 3.680
Al 0.950 4.134 11.040
Al 1.267 2.634 1.431
Al 1.267 2.634 13.289
Al 1.918 5.818 5.929
Al 1.918 5.818 8.790
Al 2.235 0.950 3.680
Al 2.235 0.950 11.040
Al 2.634 5.103 1.431
Al 2.634 5.103 13.289
Al 3.185 3.185 5.484
Al 3.185 3.185 9.235
Al 3.736 1.267 1.431
Al 3.736 1.267 13.289
Al 4.134 5.420 3.680
Al 4.134 5.420 11.040
Al 4.451 0.551 5.929
Al 4.451 0.551 8.790
Al 5.103 3.736 1.431
Al 5.103 3.736 13.289
Al 5.420 2.235 3.680
Al 5.420 2.235 11.040
Al 5.818 4.451 5.929
Al 5.818 4.451 8.790
Cu 0.602 4.663 0.000
Cu 1.478 3.787 7.360
Cu 1.707 0.602 0.000
Cu 2.583 1.478 7.360
Cu 3.787 4.892 7.360
Cu 4.663 5.767 0.000
Cu 4.892 2.583 7.360
Cu 5.767 1.707 0.000
Rh 0.000 0.000 4.384
Rh 0.000 0.000 10.335
Rh 3.185 3.185 2.975
Rh 3.185 3.185 11.744

=====

[3]
14
Lattice="0.000 5.270 5.270 5.270 0.000 5.270 5.270 5.270 0.000" Properties=species:S:1:pos:R:3 comment="r2SCAN Al5CuSe8, optimized geometry" energy_ev_per_atom=-12.2644 m_tot_mub_per_cell=0.00 ef_mev_per_atom=-907 pbc="T T T"
Al 0.000 0.000 0.000
Al 6.513 4.027 4.027
Al 4.027 6.513 4.027
Al 4.027 4.027 6.513
Al 6.513 6.513 6.513
Cu 2.635 2.635 2.635
Se 4.017 4.017 4.017
Se 6.523 6.523 4.017
Se 6.523 4.017 6.523
Se 9.131 6.679 6.679
Se 4.017 6.523 6.523
Se 6.679 9.131 6.679
Se 6.679 6.679 9.131
Se 9.131 9.131 9.131

=====

[4]
13
Lattice="2.557 -6.192 0.000 2.557 6.192 0.000 -2.542 0.000 6.192" Properties=species:S:1:pos:R:3 comment="r2SCAN SmAl8Cu4, optimized geometry" energy_ev_per_atom=-10.1171 m_tot_mub_per_cell=0.00 ef_mev_per_atom=-350 pbc="T T T"
Sm 0.000 0.000 0.000
Al 2.561 -4.032 2.160
Al 0.011 4.032 4.031
Al 0.011 1.364 4.828
Al 2.561 4.032 2.160
Al 0.011 -1.364 4.828
Al 2.561 1.364 1.364
Al 0.011 -4.032 4.031
Al 2.561 -1.364 1.364
Cu -1.271 0.000 3.096
Cu 1.279 3.096 0.000
Cu 1.279 -3.096 0.000
Cu 1.286 0.000 3.096

=====

[5]
10
Lattice="4.175 0.000 0.000 0.000 4.175 0.000 0.000 0.000 10.600" Properties=species:S:1:pos:R:3 comment="r2SCAN SmAl3Cu, optimized geometry" energy_ev_per_atom=-12.6720 m_tot_mub_per_cell=0.00 ef_mev_per_atom=-517 pbc="T T T"
Sm 0.000 0.000 0.000
Sm 2.088 2.088 5.300
Al 0.000 0.000 4.317
Al 0.000 2.088 2.634
Al 0.000 2.088 7.934
Al 2.088 0.000 2.634
Al 2.088 0.000 7.934
Al 2.088 2.088 9.617
Cu 0.000 0.000 6.676
Cu 2.088 2.088 1.376

=====

[6]
12
Lattice="8.029 0.000 0.000 0.000 2.515 4.260 0.000 -2.515 4.260" Properties=species:S:1:pos:R:3 comment="r2SCAN TaAlCu, optimized geometry" energy_ev_per_atom=-22.3502 m_tot_mub_per_cell=0.00 ef_mev_per_atom=-293 pbc="T T T"
Ta 1.473 0.000 0.000
Ta 2.499 0.000 2.789
Ta 5.530 0.000 2.789
Ta 6.556 0.000 0.000
Al 1.906 0.000 5.692
Al 4.015 -1.298 4.855
Al 4.015 1.298 4.855
Al 6.123 0.000 5.692
Cu 0.000 -1.206 2.144
Cu 0.000 1.206 2.144
Cu 0.000 0.000 4.195
Cu 4.015 0.000 7.029

=====

[7]
16
Lattice="6.035 0.000 0.000 0.000 6.035 0.000 0.000 0.000 12.012" Properties=species:S:1:pos:R:3 comment="r2SCAN AlCuTe2, optimized geometry" energy_ev_per_atom=-17.5285 m_tot_mub_per_cell=0.00 ef_mev_per_atom=-425 pbc="T T T"
Al 0.000 0.000 0.000
Al 0.000 3.017 3.003
Al 3.017 0.000 9.009
Al 3.017 3.017 6.006
Cu 0.000 0.000 6.006
Cu 0.000 3.017 9.009
Cu 3.017 0.000 3.003
Cu 3.017 3.017 0.000
Te 1.458 4.526 7.507
Te 1.509 1.458 4.504
Te 1.509 1.559 10.510
Te 1.559 4.526 1.501
Te 4.476 1.509 1.501
Te 4.526 4.476 10.510
Te 4.526 4.576 4.504
Te 4.576 1.509 7.507

=====

[8]
16
Lattice="6.647 0.000 0.000 0.000 6.647 0.000 0.000 0.000 6.647" Properties=species:S:1:pos:R:3 comment="r2SCAN ThAlCu2, optimized geometry" energy_ev_per_atom=-25.7241 m_tot_mub_per_cell=0.00 ef_mev_per_atom=-249 pbc="T T T"
Th 0.000 0.000 0.000
Th 0.000 3.324 3.324
Th 3.324 0.000 3.324
Th 3.324 3.324 0.000
Al 0.000 0.000 3.324
Al 0.000 3.324 0.000
Al 3.324 0.000 0.000
Al 3.324 3.324 3.324
Cu 1.662 1.662 1.662
Cu 1.662 1.662 4.985
Cu 1.662 4.985 1.662
Cu 1.662 4.985 4.985
Cu 4.985 1.662 1.662
Cu 4.985 1.662 4.985
Cu 4.985 4.985 1.662
Cu 4.985 4.985 4.985

=====

[9]
13
Lattice="-4.424 4.424 2.556 4.424 -4.424 2.556 4.424 4.424 -2.556" Properties=species:S:1:pos:R:3 comment="r2SCAN ThAl8Cu4, optimized geometry" energy_ev_per_atom=-13.4406 m_tot_mub_per_cell=0.00 ef_mev_per_atom=-308 pbc="T T T"
Th 0.000 0.000 0.000
Al 3.102 0.000 0.000
Al 5.746 0.000 0.000
Al 4.424 2.462 0.000
Al 0.000 3.102 0.000
Al 2.462 4.424 0.000
Al 1.962 0.000 2.556
Al 0.000 5.746 0.000
Al 0.000 1.962 2.556
Cu 2.212 2.212 -1.278
Cu 2.212 -2.212 1.278
Cu -2.212 2.212 1.278
Cu 2.212 2.212 1.278

=====

[10]
9
Lattice="6.903 0.000 0.000 -3.451 5.978 0.000 0.000 0.000 3.966" Properties=species:S:1:pos:R:3 comment="r2SCAN TmAlCu, optimized geometry" energy_ev_per_atom=-18.0821 m_tot_mub_per_cell=0.00 ef_mev_per_atom=-515 pbc="T T T"
Tm -2.020 3.499 0.000
Tm 1.431 2.478 0.000
Tm 4.041 0.000 0.000
Al -0.812 1.407 1.983
Al 1.625 0.000 1.983
Al 2.639 4.571 1.983
Cu 0.000 0.000 0.000
Cu 0.000 3.985 1.983
Cu 3.451 1.993 1.983

=====

[11]
13
Lattice="-2.489 4.253 4.325 2.489 -4.253 4.325 2.489 4.253 -4.325" Properties=species:S:1:pos:R:3 comment="r2SCAN TmAl6Cu6, optimized geometry" energy_ev_per_atom=-11.2025 m_tot_mub_per_cell=0.00 ef_mev_per_atom=-388 pbc="T T T"
Tm 0.000 0.000 0.000
Al 2.489 0.000 1.733
Al 0.000 2.944 0.000
Al 0.000 0.000 3.013
Al 0.000 0.000 5.636
Al 0.000 5.562 0.000
Al 0.000 4.253 2.591
Cu 1.244 2.127 -2.162
Cu 1.244 -2.127 2.162
Cu 2.489 1.950 0.000
Cu -1.244 2.127 2.162
Cu 1.244 2.127 2.162
Cu 0.000 2.303 4.325

=====

[12]
13
Lattice="-4.354 4.354 2.536 4.354 -4.354 2.536 4.354 4.354 -2.536" Properties=species:S:1:pos:R:3 comment="r2SCAN TmAl8Cu4, optimized geometry" energy_ev_per_atom=-10.5174 m_tot_mub_per_cell=0.00 ef_mev_per_atom=-336 pbc="T T T"
Tm 0.000 0.000 0.000
Al 3.029 0.000 0.000
Al 5.679 0.000 0.000
Al 4.354 2.458 0.000
Al 0.000 3.029 0.000
Al 2.458 4.354 0.000
Al 1.896 0.000 2.536
Al 0.000 5.679 0.000
Al 0.000 1.896 2.536
Cu 2.177 2.177 -1.268
Cu 2.177 -2.177 1.268
Cu -2.177 2.177 1.268
Cu 2.177 2.177 1.268

=====

[13]
29
Lattice="0.000 6.068 6.068 6.068 0.000 6.068 6.068 6.068 0.000" Properties=species:S:1:pos:R:3 comment="r2SCAN Tm6Al7Cu16, optimized geometry" energy_ev_per_atom=-15.2941 m_tot_mub_per_cell=0.00 ef_mev_per_atom=-418 pbc="T T T"
Tm 6.068 6.068 2.576
Tm 6.068 2.576 6.068
Tm 9.560 6.068 6.068
Tm 2.576 6.068 6.068
Tm 6.068 9.560 6.068
Tm 6.068 6.068 9.560
Al 3.034 3.034 0.000
Al 3.034 0.000 3.034
Al 6.068 3.034 3.034
Al 0.000 3.034 3.034
Al 3.034 6.068 3.034
Al 3.034 3.034 6.068
Al 6.068 6.068 6.068
Cu 7.546 4.589 4.589
Cu 2.102 2.102 2.102
Cu 3.965 3.965 2.102
Cu 3.965 2.102 3.965
Cu 4.589 4.589 4.589
Cu 7.546 7.546 4.589
Cu 7.546 4.589 7.546
Cu 2.102 3.965 3.965
Cu 10.033 8.170 8.170
Cu 4.589 7.546 4.589
Cu 4.589 4.589 7.546
Cu 7.546 7.546 7.546
Cu 8.170 10.033 8.170
Cu 8.170 8.170 10.033
Cu 10.033 10.033 10.033
Cu 4.589 7.546 7.546

=====

[14]
13
Lattice="-4.370 4.370 2.559 4.370 -4.370 2.559 4.370 4.370 -2.559" Properties=species:S:1:pos:R:3 comment="r2SCAN UAl8Cu4, optimized geometry" energy_ev_per_atom=-13.9159 m_tot_mub_per_cell=3.11 ef_mev_per_atom=-286 pbc="T T T"
U 0.000 0.000 0.000
Al 3.035 0.000 0.000
Al 5.705 0.000 0.000
Al 4.370 2.457 0.000
Al 0.000 3.035 0.000
Al 2.457 4.370 0.000
Al 1.913 0.000 2.559
Al 0.000 5.705 0.000
Al 0.000 1.913 2.559
Cu 2.185 2.185 -1.280
Cu 2.185 -2.185 1.280
Cu -2.185 2.185 1.280
Cu 2.185 2.185 1.280

=====

[15]
13
Lattice="-2.548 4.366 4.370 2.548 -4.366 4.370 2.548 4.366 -4.370" Properties=species:S:1:pos:R:3 comment="r2SCAN YAl8Cu4, optimized geometry" energy_ev_per_atom=-9.3857 m_tot_mub_per_cell=0.00 ef_mev_per_atom=-343 pbc="T T T"
Y 0.000 0.000 0.000
Al 2.548 1.912 0.000
Al 2.548 0.000 1.914
Al 0.000 3.042 0.000
Al 0.000 0.000 3.044
Al 0.000 5.690 0.000
Al 0.000 0.000 5.696
Al 0.000 4.366 2.456
Al 0.000 2.454 4.370
Cu 1.274 2.183 -2.185
Cu 1.274 -2.183 2.185
Cu -1.274 2.183 2.185
Cu 1.274 2.183 2.185

=====

[16]
13
Lattice="-2.492 4.272 4.342 2.492 -4.272 4.342 2.492 4.272 -4.342" Properties=species:S:1:pos:R:3 comment="r2SCAN YAl6Cu6, optimized geometry" energy_ev_per_atom=-10.0653 m_tot_mub_per_cell=0.00 ef_mev_per_atom=-389 pbc="T T T"
Y 0.000 0.000 0.000
Al 2.492 0.000 1.759
Al 0.000 2.964 0.000
Al 0.000 0.000 3.033
Al 0.000 0.000 5.651
Al 0.000 5.581 0.000
Al 0.000 4.272 2.583
Cu 1.246 2.136 -2.171
Cu 1.246 -2.136 2.171
Cu 2.492 1.966 0.000
Cu -1.246 2.136 2.171
Cu 1.246 2.136 2.171
Cu 0.000 2.306 4.342

=====

[17]
12
Lattice="2.736 1.580 8.441 -2.736 1.580 8.441 0.000 -3.159 8.441" Properties=species:S:1:pos:R:3 comment="r2SCAN Y3Al7Cu2, optimized geometry" energy_ev_per_atom=-11.3567 m_tot_mub_per_cell=0.00 ef_mev_per_atom=-543 pbc="T T T"
Y 0.000 0.000 0.000
Y 0.000 0.000 3.600
Y 0.000 0.000 21.724
Al -1.392 -0.804 10.421
Al 0.000 -1.607 14.903
Al -1.392 0.804 14.903
Al 0.000 0.000 12.662
Al 1.392 -0.804 10.421
Al 0.000 1.607 10.421
Al 1.392 0.804 14.903
Cu 0.000 0.000 8.491
Cu 0.000 0.000 16.833

=====

[18]
6
Lattice="2.723 1.572 4.288 -2.723 1.572 4.288 0.000 -3.144 4.288" Properties=species:S:1:pos:R:3 comment="r2SCAN Yb2Al3Cu, optimized geometry" energy_ev_per_atom=-17.8727 m_tot_mub_per_cell=0.00 ef_mev_per_atom=-522 pbc="T T T"
Yb 0.000 0.000 1.599
Yb 0.000 0.000 11.266
Al -1.361 -0.786 4.288
Al -1.361 0.786 8.577
Al 0.000 1.572 4.288
Cu 0.000 0.000 6.433

=====

[19]
14
Lattice="6.316 0.000 0.000 0.000 6.316 0.000 0.000 0.000 4.852" Properties=species:S:1:pos:R:3 comment="r2SCAN YbAlCu5, optimized geometry" energy_ev_per_atom=-14.2307 m_tot_mub_per_cell=0.00 ef_mev_per_atom=-303 pbc="T T T"
Yb 0.000 0.000 0.000
Yb 3.158 3.158 2.426
Al 0.000 3.158 1.213
Al 3.158 0.000 3.639
Cu 0.000 3.158 3.639
Cu 1.215 1.215 2.426
Cu 1.215 5.101 2.426
Cu 1.943 1.943 0.000
Cu 1.943 4.373 0.000
Cu 3.158 0.000 1.213
Cu 4.373 1.943 0.000
Cu 4.373 4.373 0.000
Cu 5.101 1.215 2.426
Cu 5.101 5.101 2.426

=====

[20]
12
Lattice="5.323 0.000 0.000 0.000 5.366 0.000 0.000 0.000 7.344" Properties=species:S:1:pos:R:3 comment="r2SCAN YbAlCu, optimized geometry" energy_ev_per_atom=-18.4850 m_tot_mub_per_cell=0.00 ef_mev_per_atom=-449 pbc="T T T"
Yb 0.000 1.341 0.899
Yb 0.000 4.024 6.446
Yb 2.661 1.341 2.774
Yb 2.661 4.024 4.571
Al 0.000 0.000 3.672
Al 0.000 2.683 3.672
Al 2.661 0.000 0.000
Al 2.661 2.683 0.000
Cu 1.331 1.341 5.508
Cu 1.331 4.024 1.836
Cu 3.992 1.341 5.508
Cu 3.992 4.024 1.836